First-principles (PBE+U) data for crystalline Li3V3P8O29 at its relaxed geometry, as listed in the Materials Project.

Cell: 9.759 9.768 14.191 Å, 89.74 89.72 60.06°
Sites, in units of the cell vectors:
Li  0.094  0.674  0.950
Li  0.234  0.094  0.946
Li  0.916  0.779  0.551
Li  0.096  0.226  0.436
Li  0.772  0.312  0.557
Li  0.956  0.028  0.014
V  0.001  0.566  0.751
V  0.994  0.437  0.244
V  0.567  0.000  0.250
V  0.440  0.996  0.748
V  0.559  0.435  0.756
V  0.436  0.567  0.251
P  0.693  0.224  0.161
P  0.687  0.086  0.660
P  0.230  0.687  0.654
P  0.329  0.333  0.870
P  0.330  0.333  0.368
P  0.091  0.687  0.160
P  0.911  0.771  0.340
P  0.227  0.085  0.157
P  0.776  0.916  0.845
P  0.090  0.230  0.658
P  0.913  0.310  0.839
P  0.671  0.662  0.632
P  0.663  0.671  0.130
P  0.772  0.315  0.343
P  0.314  0.912  0.339
P  0.306  0.777  0.839
O  0.766  0.245  0.435
O  0.660  0.257  0.662
O  0.792  0.991  0.930
O  0.653  0.088  0.169
O  0.538  0.384  0.171
O  0.480  0.330  0.825
O  0.382  0.526  0.680
O  0.214  0.778  0.923
O  0.262  0.654  0.168
O  0.474  0.182  0.322
O  0.524  0.094  0.679
O  0.342  0.474  0.322
O  0.321  0.344  0.974
O  0.332  0.329  0.473
O  0.184  0.489  0.827
O  0.384  0.085  0.170
O  0.326  0.185  0.831
O  0.084  0.660  0.664
O  0.001  0.794  0.250
O  0.992  0.760  0.429
O  0.015  0.771  0.071
O  0.090  0.529  0.173
O  0.178  0.337  0.329
O  0.915  0.741  0.836
O  0.099  0.382  0.680
O  0.259  0.086  0.668
O  0.794  0.002  0.751
O  0.766  0.995  0.574
O  0.226  0.005  0.423
O  0.741  0.914  0.332
O  0.904  0.618  0.318
O  0.087  0.258  0.170
O  0.820  0.664  0.676
O  0.915  0.468  0.826
O  0.003  0.213  0.921
O  0.007  0.244  0.568
O  0.991  0.211  0.743
O  0.918  0.340  0.337
O  0.666  0.815  0.175
O  0.617  0.918  0.828
O  0.814  0.518  0.174
O  0.669  0.666  0.026
O  0.678  0.668  0.528
O  0.668  0.515  0.672
O  0.473  0.908  0.322
O  0.525  0.813  0.679
O  0.740  0.347  0.833
O  0.793  0.202  0.256
O  0.792  0.205  0.078
O  0.620  0.476  0.323
O  0.518  0.668  0.176
O  0.467  0.618  0.827
O  0.341  0.916  0.838
O  0.210  0.019  0.066
O  0.209  0.991  0.245
O  0.345  0.740  0.335
O  0.238  0.759  0.565
O  0.208  0.797  0.745

Output
ΔH_f (0 K), eV/atom: -2.5184
Total magnetization, μB/f.u.: 0.00
Energy, eV/cell: -606.09
Corrected total energy (MP2020 scheme), eV/atom: -7.629

---

First-principles (PBE+U) data for crystalline Mn3O2F4 at its relaxed geometry, as listed in the Materials Project.

Cell: 4.837 5.786 7.944 Å, 85.65 86.54 85.31°
Sites, in units of the cell vectors:
Mn  0.515  0.153  0.833
Mn  0.500  0.500  0.500
Mn  0.485  0.847  0.167
Mn  0.000  0.000  0.500
Mn  0.019  0.322  0.159
Mn  0.981  0.678  0.841
O  0.687  0.870  0.942
O  0.699  0.200  0.603
O  0.301  0.800  0.397
O  0.313  0.130  0.058
F  0.813  0.040  0.273
F  0.805  0.700  0.601
F  0.805  0.375  0.934
F  0.703  0.538  0.258
F  0.297  0.462  0.742
F  0.195  0.300  0.399
F  0.195  0.625  0.066
F  0.187  0.960  0.727

Output
ΔH_f (0 K), eV/atom: -2.5223
Total magnetization, μB/f.u.: 13.00
Energy, eV/cell: -119.03
Corrected total energy (MP2020 scheme), eV/atom: -7.527

---

First-principles (PBE+U) data for crystalline Na3Fe3P4O16 at its relaxed geometry, as listed in the Materials Project.

Cell: 10.428 10.428 10.743 Å, 88.29 88.29 36.15°
Sites, in units of the cell vectors:
Na  0.943  0.224  0.526
Na  0.629  0.371  0.250
Na  0.224  0.943  0.026
Na  0.057  0.776  0.474
Na  0.371  0.629  0.750
Na  0.776  0.057  0.974
Fe  0.635  0.679  0.253
Fe  0.500  0.000  0.500
Fe  0.365  0.321  0.747
Fe  0.679  0.635  0.753
Fe  0.000  0.500  0.000
Fe  0.321  0.365  0.247
P  0.780  0.817  0.243
P  0.428  0.747  0.510
P  0.183  0.220  0.257
P  0.220  0.183  0.757
P  0.572  0.253  0.490
P  0.817  0.780  0.743
P  0.253  0.572  0.990
P  0.747  0.428  0.010
O  0.634  0.051  0.214
O  0.586  0.604  0.114
O  0.366  0.949  0.786
O  0.309  0.202  0.646
O  0.950  0.354  0.006
O  0.051  0.634  0.714
O  0.396  0.414  0.386
O  0.455  0.375  0.617
O  0.202  0.309  0.146
O  0.414  0.396  0.886
O  0.050  0.646  0.994
O  0.949  0.366  0.286
O  0.275  0.232  0.364
O  0.325  0.990  0.226
O  0.625  0.545  0.883
O  0.232  0.275  0.864
O  0.604  0.586  0.614
O  0.766  0.182  0.460
O  0.545  0.625  0.383
O  0.798  0.691  0.854
O  0.990  0.325  0.726
O  0.691  0.798  0.354
O  0.768  0.725  0.136
O  0.646  0.050  0.494
O  0.725  0.768  0.636
O  0.675  0.010  0.774
O  0.010  0.675  0.274
O  0.354  0.950  0.506
O  0.818  0.234  0.040
O  0.375  0.455  0.117
O  0.182  0.766  0.960
O  0.234  0.818  0.540

Output
ΔH_f (0 K), eV/atom: -2.4403
Total magnetization, μB/f.u.: 15.00
Energy, eV/cell: -351.77
Corrected total energy (MP2020 scheme), eV/atom: -7.448

---

First-principles (PBE+U) data for crystalline Li3V3P8O29 at its relaxed geometry, as listed in the Materials Project.

Cell: 9.727 9.740 14.011 Å, 89.77 89.87 60.13°
Sites, in units of the cell vectors:
Li  0.329  0.906  0.441
Li  0.904  0.329  0.941
Li  0.765  0.329  0.440
Li  0.336  0.332  0.891
Li  0.014  0.962  0.999
Li  0.986  0.973  0.500
V  0.429  0.574  0.750
V  0.563  0.436  0.245
V  0.996  0.570  0.253
V  0.002  0.433  0.744
V  0.572  0.997  0.750
V  0.438  0.001  0.245
P  0.780  0.916  0.156
P  0.918  0.778  0.657
P  0.311  0.918  0.657
P  0.669  0.664  0.871
P  0.664  0.666  0.371
P  0.308  0.778  0.155
P  0.225  0.691  0.342
P  0.914  0.315  0.156
P  0.086  0.690  0.845
P  0.770  0.314  0.656
P  0.688  0.224  0.841
P  0.338  0.333  0.629
P  0.329  0.337  0.130
P  0.692  0.085  0.344
P  0.086  0.223  0.340
P  0.222  0.088  0.844
O  0.784  0.007  0.431
O  0.743  0.915  0.668
O  0.006  0.782  0.931
O  0.915  0.742  0.168
O  0.620  0.914  0.172
O  0.661  0.816  0.826
O  0.470  0.913  0.676
O  0.207  0.005  0.928
O  0.348  0.913  0.168
O  0.813  0.667  0.325
O  0.916  0.619  0.673
O  0.514  0.816  0.330
O  0.669  0.658  0.977
O  0.665  0.660  0.477
O  0.523  0.659  0.824
O  0.910  0.474  0.175
O  0.820  0.517  0.827
O  0.340  0.745  0.668
O  0.202  0.796  0.248
O  0.218  0.786  0.426
O  0.219  0.789  0.068
O  0.467  0.619  0.171
O  0.669  0.514  0.327
O  0.262  0.654  0.835
O  0.616  0.471  0.674
O  0.914  0.344  0.668
O  0.002  0.795  0.751
O  0.996  0.790  0.570
O  0.993  0.217  0.423
O  0.087  0.655  0.336
O  0.383  0.533  0.327
O  0.742  0.345  0.168
O  0.338  0.478  0.676
O  0.523  0.375  0.831
O  0.788  0.219  0.923
O  0.779  0.235  0.564
O  0.789  0.200  0.744
O  0.654  0.261  0.336
O  0.183  0.481  0.175
O  0.098  0.526  0.830
O  0.479  0.336  0.173
O  0.331  0.334  0.024
O  0.335  0.331  0.524
O  0.481  0.183  0.677
O  0.086  0.382  0.328
O  0.186  0.336  0.676
O  0.657  0.082  0.838
O  0.796  0.003  0.250
O  0.789  0.995  0.068
O  0.534  0.083  0.327
O  0.334  0.185  0.174
O  0.375  0.100  0.831
O  0.080  0.264  0.838
O  0.985  0.239  0.064
O  0.011  0.199  0.243
O  0.260  0.083  0.339
O  0.234  0.988  0.565
O  0.199  0.012  0.745

Output
ΔH_f (0 K), eV/atom: -2.5203
Total magnetization, μB/f.u.: 0.00
Energy, eV/cell: -606.25
Corrected total energy (MP2020 scheme), eV/atom: -7.631

---

First-principles (PBE+U) data for crystalline Li2MnF4 at its relaxed geometry, as listed in the Materials Project.

Cell: 6.130 6.130 8.625 Å, 90.00 90.00 90.00°
Sites, in units of the cell vectors:
Li  0.000  0.216  0.000
Li  0.000  0.784  0.500
Li  0.248  0.248  0.625
Li  0.248  0.752  0.875
Li  0.216  0.000  0.250
Li  0.784  0.000  0.750
Li  0.752  0.248  0.375
Li  0.752  0.752  0.125
Mn  0.228  0.500  0.250
Mn  0.500  0.228  0.000
Mn  0.500  0.772  0.500
Mn  0.772  0.500  0.750
F  0.003  0.243  0.238
F  0.003  0.757  0.262
F  0.243  0.003  0.012
F  0.243  0.997  0.488
F  0.249  0.520  0.498
F  0.249  0.480  0.002
F  0.520  0.249  0.752
F  0.520  0.751  0.748
F  0.480  0.249  0.248
F  0.480  0.751  0.252
F  0.751  0.520  0.502
F  0.751  0.480  0.998
F  0.757  0.997  0.512
F  0.757  0.003  0.988
F  0.997  0.243  0.762
F  0.997  0.757  0.738

Output
Piezoelectric modulus e_max, C/m²: 0.0
ΔH_f (0 K), eV/atom: -3.0580
Total magnetization, μB/f.u.: 5.00
Energy, eV/cell: -154.11
Corrected total energy (MP2020 scheme), eV/atom: -6.006

---

First-principles (PBE+U) data for crystalline Ba3CoIr2O9 at its relaxed geometry, as listed in the Materials Project.

Cell: 5.851 5.851 14.471 Å, 90.00 90.00 120.00°
Sites, in units of the cell vectors:
Ba  0.333  0.667  0.088
Ba  0.667  0.333  0.912
Ba  0.667  0.333  0.588
Ba  0.333  0.667  0.412
Ba  0.000  0.000  0.250
Ba  0.000  0.000  0.750
Co  0.000  0.000  0.000
Co  0.000  0.000  0.500
Ir  0.333  0.667  0.655
Ir  0.667  0.333  0.345
Ir  0.667  0.333  0.155
Ir  0.333  0.667  0.845
O  0.515  0.029  0.250
O  0.485  0.971  0.750
O  0.971  0.485  0.250
O  0.029  0.515  0.750
O  0.515  0.485  0.250
O  0.485  0.515  0.750
O  0.169  0.339  0.582
O  0.831  0.661  0.418
O  0.661  0.831  0.582
O  0.831  0.661  0.082
O  0.339  0.169  0.418
O  0.169  0.339  0.918
O  0.169  0.831  0.582
O  0.339  0.169  0.082
O  0.831  0.169  0.418
O  0.661  0.831  0.918
O  0.831  0.169  0.082
O  0.169  0.831  0.918

Output
ΔH_f (0 K), eV/atom: -2.0579
Total magnetization, μB/f.u.: 7.00
Energy, eV/cell: -196.24
Corrected total energy (MP2020 scheme), eV/atom: -7.063